# CeMg14Ni

CeMg14Ni after structural relaxation (PBE-GGA, the Materials Project).

Values from the calculation:
The value obtained for the formation energy is 39 meV per atom. The calculated volume is 22.331 A^3/atom. The energy above the most stable polymorph in this dataset is 0 meV/atom. For the size of the total moment, the calculation gives 0.00 μB per cell. The calculation puts the total energy at -66.99 eV/cell.

Unit cell a=10.1950 b=6.0037 c=11.6749 alpha=90.00 beta=90.00 gamma=90.00
Closest atoms and distances in Å follow each position.
Space group Amm2 (No. 38)
One atom of each set of equivalent atoms:
Ce 0.0000 0.0000 0.0000 (multiplicity 2)  2 Ni 3.03, 10 Mg 3.19-3.30
Mg 0.0000 0.2351 0.2520 (multiplicity 4)  5 Mg 2.82-3.06, 1 Ni 2.87
Mg 0.2129 0.0000 0.6268 (multiplicity 4)  1 Ni 2.87, 6 Mg 3.06-3.17
Mg 0.2507 0.2477 0.3897 (multiplicity 8)  8 Mg 2.97-3.22, 1 Ni 3.09, 1 Ce 3.24
Mg 0.2645 0.0000 0.1452 (multiplicity 4)  11 Mg 3.02-3.35, 1 Ce 3.19
Mg 0.5000 0.0000 0.4840 (multiplicity 2)  10 Mg 3.00-3.30
Mg 0.5000 0.0000 0.9796 (multiplicity 2)  12 Mg 3.00-3.33
Mg 0.5000 0.2462 0.7328 (multiplicity 4)  9 Mg 2.96-3.30
Ni 0.0000 0.0000 0.4663 (multiplicity 2)  8 Mg 2.87-3.09, 2 Ce 3.03

=====

# Rb4MgH12Se8O24

Rb4MgH12Se8O24 after structural relaxation (PBE-GGA, the Materials Project).

Values from the calculation:
The value obtained for the formation energy is -1303 meV per atom. The calculated volume is 18.093 A^3/atom. The MP2020-corrected energy is -5.241 eV per atom. The energy above the most stable polymorph in this dataset is 99 meV/atom. For the size of the total moment, the calculation gives 0.00 μB per cell. The calculation puts the total energy at -240.32 eV/cell.

Unit cell a=6.1593 b=6.3672 c=22.6089 alpha=90.00 beta=90.95 gamma=90.00
Closest atoms and distances in Å follow each position.
Space group P2 (No. 3)
One atom of each set of equivalent atoms:
Rb 0.0282 0.0000 0.1201 (multiplicity 2)  5 O 2.83-3.12
Rb 0.4532 0.4962 0.6248 (multiplicity 2)  6 O 2.92-3.17, 1 H 3.23
Mg 0.5000 0.0539 0.5000 (multiplicity 1)  4 O 2.96-3.29, 4 H 3.29-3.31
H 0.0464 0.2220 0.4352 (multiplicity 2)  1 O 0.98
H 0.1403 0.5224 0.8633 (multiplicity 2)  1 O 1.04
H 0.2355 0.7084 0.2594 (multiplicity 2)  1 O 1.04
H 0.2639 0.7895 0.7632 (multiplicity 2)  1 O 1.04
H 0.3667 0.9697 0.3603 (multiplicity 2)  1 O 1.05
H 0.4561 0.3109 0.9472 (multiplicity 2)  1 O 0.98
Se 0.0082 0.4145 0.7476 (multiplicity 2)  3 O 1.70-1.81
Se 0.0126 0.9471 0.6305 (multiplicity 2)  2 O 1.65-1.81
Se 0.4803 0.5582 0.1248 (multiplicity 2)  2 O 1.64-1.80
Se 0.4899 0.0810 0.2441 (multiplicity 2)  3 O 1.70-1.81
O 0.0288 0.2217 0.6035 (multiplicity 2)  1 H 0.98
O 0.0317 0.4238 0.1777 (multiplicity 2)  1 H 1.53, 1 Se 1.71
O 0.1389 0.8073 0.5804 (multiplicity 2)  1 Se 1.65
O 0.2146 0.5686 0.2821 (multiplicity 2)  1 H 1.04
O 0.2288 0.5685 0.7358 (multiplicity 2)  1 H 1.55, 1 Se 1.70
O 0.2411 0.5888 0.8958 (multiplicity 2)  1 H 1.04
O 0.2667 0.9051 0.3926 (multiplicity 2)  1 H 1.05
O 0.2715 0.9250 0.2299 (multiplicity 2)  1 H 1.55, 1 Se 1.70
O 0.2852 0.9323 0.7845 (multiplicity 2)  1 H 1.04
O 0.3622 0.7301 0.0809 (multiplicity 2)  1 Se 1.64
O 0.4429 0.3022 0.0858 (multiplicity 2)  1 H 0.98
O 0.4663 0.0662 0.6810 (multiplicity 2)  1 H 1.53, 1 Se 1.71

=====

# SrRe3S4O11

SrRe3S4O11 after structural relaxation (PBE-GGA, the Materials Project).

Values from the calculation:
The value obtained for the formation energy is -786 meV per atom. The calculated volume is 20.506 A^3/atom. The MP2020-corrected energy is -6.575 eV per atom. For the size of the total moment, the calculation gives 10.01 μB per cell. The calculation puts the total energy at -242.29 eV/cell.

Unit cell a=8.5950 b=9.0519 c=11.2877 alpha=79.76 beta=73.31 gamma=68.33
Closest atoms and distances in Å follow each position.
Space group P-1 (No. 2)
One atom of each set of equivalent atoms:
Sr 0.1475 0.1231 0.0756 (multiplicity 2)  6 O 2.45-2.72
Re 0.0548 0.6837 0.6108 (multiplicity 2)  1 O 1.72
Re 0.0983 0.6382 0.2968 (multiplicity 2)  1 O 1.70
Re 0.3012 0.3142 0.4849 (multiplicity 2)  1 O 1.70
S 0.0907 0.1828 0.5498 (multiplicity 2)  3 Re 2.39-2.40
S 0.1636 0.4111 0.6863 (multiplicity 2)  3 Re 2.39-2.40
S 0.2134 0.3561 0.2952 (multiplicity 2)  3 Re 2.37-2.39
S 0.2839 0.5859 0.4326 (multiplicity 2)  3 Re 2.38-2.40
O 0.0196 0.4369 0.0397 (multiplicity 2)  1 O 1.32
O 0.0598 0.9974 0.9431 (multiplicity 2)  1 O 1.39
O 0.0729 0.8123 0.6979 (multiplicity 2)  1 Re 1.72
O 0.1707 0.7308 0.1579 (multiplicity 2)  1 Re 1.70
O 0.3142 0.9745 0.2825 (multiplicity 2)  1 O 1.26
O 0.3730 0.6586 0.8430 (multiplicity 2)  1 O 1.24
O 0.4309 0.5165 0.8794 (multiplicity 2)  1 O 1.24
O 0.4333 0.9172 0.9647 (multiplicity 2)  1 O 1.29
O 0.4466 0.1497 0.9758 (multiplicity 2)  1 O 1.29
O 0.4606 0.9827 0.2738 (multiplicity 2)  1 O 1.26
O 0.4904 0.8086 0.5282 (multiplicity 2)  1 Re 1.70

=====

# KCaSnBiO6

KCaSnBiO6 after structural relaxation (PBE-GGA, the Materials Project).

Values from the calculation:
The value obtained for the formation energy is -1942 meV per atom. The calculated volume is 14.444 A^3/atom. The MP2020-corrected energy is -6.013 eV per atom. For the size of the total moment, the calculation gives 0.00 μB per cell. The calculation puts the total energy at -224.02 eV/cell.

Unit cell a=8.3288 b=8.3288 c=8.3288 alpha=90.00 beta=90.00 gamma=90.00
Closest atoms and distances in Å follow each position.
Space group F-43m (No. 216)
One atom of each set of equivalent atoms:
K 0.0000 0.0000 0.0000 (multiplicity 4)  12 O 2.94
Ca 0.0000 0.0000 0.5000 (multiplicity 4)  12 O 2.94
Sn 0.2500 0.2500 0.2500 (multiplicity 4)  6 O 2.06
Bi 0.2500 0.2500 0.7500 (multiplicity 4)  6 O 2.11
O 0.0029 0.2500 0.2500 (multiplicity 24)  1 Sn 2.06, 1 Bi 2.11

=====

# SrCaGe4O12

SrCaGe4O12 after structural relaxation (PBE-GGA, the Materials Project).

Values from the calculation:
The value obtained for the formation energy is -1921 meV per atom. The calculated volume is 11.986 A^3/atom. The MP2020-corrected energy is -6.453 eV per atom. For the size of the total moment, the calculation gives 3.88 μB per cell. The calculation puts the total energy at -107.90 eV/cell.

Unit cell a=5.3446 b=5.3446 c=7.5533 alpha=90.00 beta=90.00 gamma=90.00
Closest atoms and distances in Å follow each position.
Space group P4/mmm (No. 123)
One atom of each set of equivalent atoms:
Sr 0.0000 0.0000 0.0000 (multiplicity 1)  12 O 2.67-2.69
Ca 0.5000 0.5000 0.5000 (multiplicity 1)  12 O 2.65-2.67
Ge 0.0000 0.5000 0.2506 (multiplicity 4)  6 O 1.88-1.89
O 0.0000 0.5000 0.0000 (multiplicity 2)  2 Ge 1.89
O 0.0000 0.5000 0.5000 (multiplicity 2)  2 Ge 1.88
O 0.2519 0.2519 0.2522 (multiplicity 8)  2 Ge 1.89

=====

# HoScB8Rh8

HoScB8Rh8 after structural relaxation (PBE-GGA, the Materials Project).

Values from the calculation:
The value obtained for the formation energy is -555 meV per atom. The calculated volume is 11.700 A^3/atom. For the size of the total moment, the calculation gives 0.00 μB per cell. The calculation puts the total energy at -133.25 eV/cell.

Unit cell a=5.3308 b=5.3308 c=7.4110 alpha=90.00 beta=90.00 gamma=90.00
Closest atoms and distances in Å follow each position.
Space group P-4m2 (No. 115)
One atom of each set of equivalent atoms:
Ho 0.0000 0.0000 0.0000 (multiplicity 1)  12 Rh 2.96-3.18, 12 B 3.02-3.14
Sc 0.5000 0.5000 0.5000 (multiplicity 1)  12 Rh 2.92-3.16, 12 B 3.03-3.14
B 0.0000 0.3298 0.6494 (multiplicity 4)  1 B 1.81
B 0.1686 0.5000 0.1500 (multiplicity 4)  1 B 1.80
Rh 0.0000 0.2499 0.3565 (multiplicity 4)  5 B 2.21-2.22
Rh 0.2524 0.5000 0.8510 (multiplicity 4)  5 B 2.21-2.26